1.
Na2CaHf3P4S2O24 PBE-GGA optimized geometry; SG = P1; M_tot = 0.001 μB per cell
1.0
8.904 0.000 0.000
-4.446 7.715 0.000
-0.050 -0.047 23.448
Na Ca Hf P S O
6 3 9 12 6 72
direct
0.000 0.000 0.000 Na
0.001 0.006 0.492 Na
0.326 0.671 0.828 Na
0.328 0.666 0.324 Na
0.661 0.343 0.167 Na
0.669 0.335 0.661 Na
0.331 0.673 0.688 Ca
0.337 0.673 0.184 Ca
0.671 0.341 0.511 Ca
0.009 0.008 0.350 Hf
0.009 0.011 0.854 Hf
0.009 0.015 0.647 Hf
0.009 0.998 0.146 Hf
0.335 0.674 0.473 Hf
0.342 0.682 0.979 Hf
0.666 0.342 0.015 Hf
0.667 0.345 0.314 Hf
0.669 0.335 0.813 Hf
0.294 0.014 0.750 P
0.295 0.294 0.249 P
0.338 0.971 0.080 P
0.375 0.046 0.414 P
0.382 0.345 0.914 P
0.633 0.676 0.080 P
0.669 0.050 0.914 P
0.671 0.639 0.414 P
0.960 0.628 0.914 P
0.963 0.338 0.414 P
0.997 0.291 0.750 P
0.997 0.712 0.250 P
0.039 0.376 0.079 S
0.043 0.679 0.582 S
0.333 0.379 0.582 S
0.633 0.964 0.582 S
0.720 0.015 0.249 S
0.722 0.718 0.750 S
0.006 0.823 0.301 O
0.007 0.190 0.802 O
0.021 0.201 0.084 O
0.032 0.844 0.586 O
0.106 0.477 0.131 O
0.125 0.660 0.633 O
0.141 0.647 0.922 O
0.148 0.506 0.420 O
0.151 0.463 0.028 O
0.152 0.702 0.530 O
0.158 0.467 0.749 O
0.158 0.697 0.248 O
0.166 0.202 0.586 O
0.172 0.989 0.085 O
0.181 0.998 0.802 O
0.184 0.195 0.301 O
0.189 0.013 0.403 O
0.200 0.181 0.907 O
0.203 0.033 0.695 O
0.203 0.182 0.194 O
0.309 0.464 0.530 O
0.309 0.852 0.027 O
0.315 0.472 0.248 O
0.316 0.856 0.749 O
0.350 0.477 0.633 O
0.357 0.861 0.420 O
0.360 0.505 0.922 O
0.372 0.902 0.134 O
0.438 0.146 0.468 O
0.466 0.315 0.966 O
0.472 0.185 0.755 O
0.473 0.300 0.255 O
0.479 0.350 0.577 O
0.493 0.135 0.362 O
0.494 0.370 0.860 O
0.495 0.154 0.067 O
0.503 0.654 0.421 O
0.506 0.869 0.922 O
0.528 0.636 0.134 O
0.534 0.883 0.633 O
0.539 0.699 0.027 O
0.546 0.856 0.530 O
0.548 0.861 0.247 O
0.550 0.700 0.746 O
0.640 0.518 0.362 O
0.641 0.136 0.861 O
0.660 0.140 0.577 O
0.664 0.521 0.067 O
0.698 0.164 0.967 O
0.709 0.176 0.254 O
0.710 0.545 0.754 O
0.710 0.576 0.468 O
0.808 0.974 0.586 O
0.810 0.000 0.299 O
0.810 0.823 0.800 O
0.815 0.843 0.086 O
0.822 0.823 0.402 O
0.824 0.034 0.196 O
0.825 0.801 0.697 O
0.828 0.532 0.255 O
0.829 0.028 0.907 O
0.829 0.304 0.755 O
0.847 0.543 0.966 O
0.863 0.352 0.068 O
0.864 0.302 0.468 O
0.869 0.531 0.577 O
0.872 0.516 0.860 O
0.874 0.368 0.361 O
0.974 0.180 0.695 O
0.974 0.800 0.194 O
0.979 0.810 0.906 O
0.994 0.186 0.402 O

***

2.
Na4Ca3HfP2S4O24 PBE-GGA optimized geometry; SG = P1; M_tot = 0.000 μB per cell
1.0
9.205 0.000 0.000
-4.594 8.000 0.000
-0.024 -0.135 23.586
Na Ca Hf P S O
12 9 3 6 12 72
direct
0.000 0.000 0.000 Na
0.004 0.392 0.755 Na
0.022 0.065 0.345 Na
0.307 0.678 0.339 Na
0.336 0.045 0.429 Na
0.348 0.025 0.911 Na
0.639 0.363 0.993 Na
0.649 0.695 0.092 Na
0.674 0.706 0.575 Na
0.716 0.413 0.671 Na
0.968 0.015 0.655 Na
0.983 0.360 0.256 Na
0.000 0.367 0.896 Ca
0.007 0.367 0.108 Ca
0.010 0.369 0.594 Ca
0.321 0.015 0.563 Ca
0.336 0.020 0.070 Ca
0.657 0.684 0.924 Ca
0.666 0.692 0.739 Ca
0.670 0.690 0.235 Ca
0.992 0.359 0.404 Ca
0.331 0.021 0.768 Hf
0.341 0.035 0.273 Hf
0.676 0.699 0.430 Hf
0.038 0.733 0.670 P
0.376 0.399 0.333 P
0.659 0.375 0.831 P
0.662 0.984 0.332 P
0.971 0.703 0.331 P
0.992 0.047 0.498 P
0.044 0.030 0.169 S
0.302 0.360 0.001 S
0.320 0.666 0.495 S
0.333 0.314 0.670 S
0.333 0.735 0.172 S
0.362 0.703 0.831 S
0.626 0.318 0.168 S
0.628 0.032 0.669 S
0.694 0.373 0.501 S
0.708 0.064 0.001 S
0.983 0.002 0.833 S
0.996 0.663 0.000 S
0.004 0.151 0.445 O
0.012 0.173 0.837 O
0.013 0.582 0.949 O
0.015 0.555 0.670 O
0.019 0.568 0.341 O
0.033 0.185 0.173 O
0.122 0.835 0.617 O
0.123 0.025 0.115 O
0.140 0.838 0.004 O
0.143 0.019 0.499 O
0.146 0.878 0.326 O
0.149 0.835 0.723 O
0.151 0.032 0.219 O
0.152 0.012 0.826 O
0.173 0.316 0.668 O
0.178 0.571 0.175 O
0.192 0.558 0.835 O
0.195 0.364 0.342 O
0.202 0.345 0.951 O
0.219 0.373 0.053 O
0.222 0.589 0.443 O
0.240 0.567 0.546 O
0.317 0.204 0.003 O
0.322 0.208 0.720 O
0.331 0.836 0.223 O
0.339 0.823 0.120 O
0.343 0.857 0.825 O
0.349 0.838 0.500 O
0.355 0.238 0.618 O
0.360 0.220 0.325 O
0.446 0.504 0.280 O
0.447 0.690 0.781 O
0.459 0.731 0.884 O
0.476 0.506 0.998 O
0.479 0.483 0.676 O
0.482 0.715 0.173 O
0.489 0.676 0.489 O
0.492 0.488 0.385 O
0.493 0.991 0.326 O
0.495 0.196 0.823 O
0.519 0.209 0.217 O
0.525 0.227 0.504 O
0.530 0.039 0.720 O
0.535 0.017 0.617 O
0.538 0.050 0.004 O
0.546 0.242 0.114 O
0.629 0.862 0.384 O
0.633 0.445 0.888 O
0.643 0.485 0.171 O
0.660 0.890 0.674 O
0.673 0.482 0.779 O
0.679 0.528 0.492 O
0.690 0.909 0.279 O
0.693 0.896 0.996 O
0.785 0.357 0.453 O
0.786 0.398 0.555 O
0.790 0.166 0.950 O
0.791 0.328 0.173 O
0.793 0.191 0.670 O
0.808 0.146 0.052 O
0.811 0.159 0.342 O
0.812 0.351 0.833 O
0.827 0.868 0.489 O
0.839 0.676 0.997 O
0.861 0.717 0.674 O
0.872 0.674 0.278 O
0.876 0.880 0.172 O
0.879 0.732 0.383 O
0.880 0.918 0.783 O
0.909 0.906 0.886 O
0.967 0.118 0.555 O
0.981 0.564 0.052 O

***

3.
Na3CaHf3P5SO24 PBE-GGA optimized geometry; SG = P1; M_tot = 0.000 μB per cell
1.0
8.955 0.000 0.000
-4.467 7.788 0.000
-0.004 -0.037 23.175
Na Ca Hf P S O
9 3 9 15 3 72
direct
0.000 0.000 0.000 Na
0.002 0.013 0.498 Na
0.306 0.648 0.328 Na
0.311 0.654 0.831 Na
0.616 0.992 0.242 Na
0.644 0.319 0.660 Na
0.657 0.333 0.158 Na
0.665 0.987 0.918 Na
0.950 0.658 0.577 Na
0.318 0.661 0.188 Ca
0.648 0.328 0.518 Ca
0.659 0.333 0.013 Ca
0.323 0.661 0.480 Hf
0.328 0.668 0.688 Hf
0.328 0.669 0.980 Hf
0.660 0.337 0.813 Hf
0.660 0.348 0.314 Hf
0.988 0.000 0.147 Hf
0.992 0.005 0.647 Hf
0.996 0.000 0.847 Hf
0.999 0.000 0.352 Hf
0.042 0.377 0.585 P
0.285 0.292 0.748 P
0.288 0.011 0.250 P
0.320 0.950 0.585 P
0.360 0.036 0.914 P
0.360 0.337 0.415 P
0.618 0.675 0.584 P
0.626 0.962 0.085 P
0.660 0.633 0.914 P
0.700 0.004 0.750 P
0.709 0.711 0.250 P
0.959 0.335 0.913 P
0.959 0.632 0.418 P
0.983 0.285 0.252 P
0.989 0.706 0.747 P
0.033 0.676 0.082 S
0.317 0.367 0.083 S
0.657 0.034 0.413 S
0.013 0.822 0.799 O
0.027 0.198 0.589 O
0.030 0.842 0.084 O
0.112 0.656 0.134 O
0.138 0.462 0.251 O
0.138 0.497 0.922 O
0.140 0.488 0.637 O
0.140 0.689 0.030 O
0.141 0.650 0.420 O
0.147 0.955 0.589 O
0.150 0.464 0.529 O
0.150 0.686 0.743 O
0.154 0.194 0.085 O
0.172 0.205 0.801 O
0.175 0.186 0.404 O
0.177 0.001 0.901 O
0.179 0.996 0.303 O
0.198 0.028 0.195 O
0.198 0.179 0.695 O
0.296 0.838 0.530 O
0.298 0.457 0.030 O
0.304 0.472 0.743 O
0.315 0.856 0.249 O
0.328 0.852 0.638 O
0.331 0.462 0.135 O
0.349 0.504 0.420 O
0.352 0.856 0.921 O
0.423 0.137 0.969 O
0.425 0.297 0.470 O
0.465 0.309 0.756 O
0.466 0.344 0.077 O
0.469 0.176 0.256 O
0.476 0.127 0.584 O
0.479 0.358 0.362 O
0.487 0.127 0.863 O
0.495 0.654 0.921 O
0.499 0.862 0.418 O
0.510 0.663 0.638 O
0.521 0.842 0.743 O
0.526 0.847 0.030 O
0.528 0.691 0.529 O
0.529 0.878 0.140 O
0.534 0.699 0.249 O
0.632 0.514 0.862 O
0.633 0.119 0.361 O
0.646 0.522 0.584 O
0.654 0.143 0.079 O
0.682 0.166 0.756 O
0.689 0.137 0.465 O
0.696 0.532 0.256 O
0.699 0.571 0.969 O
0.784 0.979 0.804 O
0.798 0.843 0.589 O
0.806 0.006 0.405 O
0.806 0.821 0.303 O
0.806 0.968 0.086 O
0.809 0.820 0.902 O
0.810 0.288 0.257 O
0.816 0.027 0.697 O
0.817 0.798 0.195 O
0.827 0.528 0.755 O
0.845 0.283 0.966 O
0.858 0.510 0.366 O
0.858 0.532 0.077 O
0.863 0.568 0.474 O
0.866 0.364 0.861 O
0.868 0.367 0.582 O
0.958 0.173 0.196 O
0.965 0.791 0.692 O
0.983 0.178 0.900 O
0.984 0.814 0.406 O
0.993 0.185 0.304 O

***

no.,formation energy (eV per formula unit)
1,-106.850
2,-100.948
3,-112.667